Record 1
The following is a DFT calculation (PBE+U) of a relaxed structure of MgSc2Cr2O8.

Computed properties:
The value obtained for the excess energy over the best structure of this formula in the dataset is 47 kJ/mol of formula units. As for the total magnetic moment: 4.00 μB/f.u. Its symmetry is No. 5.

```
MgSc2Cr2O8
1.0
4.669 -3.299 0.000
4.669 3.299 0.000
-4.113 0.000 5.084
Mg Sc Cr O
1 2 2 8
direct
0.000 0.000 0.000 Mg
0.551 0.029 0.467 Sc
0.971 0.449 0.533 Sc
0.009 0.548 0.138 Cr
0.452 0.991 0.862 Cr
0.211 0.309 0.304 O
0.217 0.757 0.193 O
0.243 0.783 0.807 O
0.313 0.200 0.687 O
0.691 0.789 0.696 O
0.717 0.138 0.198 O
0.800 0.687 0.313 O
0.862 0.283 0.802 O
```

=====

Record 2
The following is a DFT calculation (PBE+U) of a relaxed structure of Li2Cr2Si2O9.

Computed properties:
As for the total magnetic moment: 4.00 μB/f.u. Its symmetry is No. 7. The calculation puts the total energy at -7.120 eV per atom.

```
Li2Cr2Si2O9
1.0
13.995 0.000 0.000
0.000 8.395 0.000
-0.005 0.000 5.171
Li Cr Si O
8 8 8 36
direct
0.000 0.194 0.000 Li
0.000 0.806 0.500 Li
0.179 0.303 0.999 Li
0.179 0.697 0.499 Li
0.499 0.196 0.705 Li
0.499 0.804 0.205 Li
0.678 0.304 0.705 Li
0.678 0.696 0.205 Li
0.010 0.407 0.487 Cr
0.010 0.593 0.987 Cr
0.166 0.093 0.473 Cr
0.166 0.907 0.973 Cr
0.510 0.407 0.220 Cr
0.510 0.593 0.720 Cr
0.667 0.093 0.223 Cr
0.667 0.907 0.723 Cr
0.312 0.403 0.566 Si
0.312 0.597 0.066 Si
0.366 0.096 0.139 Si
0.366 0.904 0.639 Si
0.812 0.403 0.139 Si
0.812 0.597 0.639 Si
0.866 0.096 0.566 Si
0.866 0.904 0.066 Si
0.070 0.425 0.793 O
0.070 0.575 0.293 O
0.090 0.250 0.330 O
0.090 0.750 0.830 O
0.108 0.077 0.803 O
0.108 0.923 0.303 O
0.249 0.096 0.138 O
0.249 0.904 0.638 O
0.267 0.229 0.612 O
0.267 0.771 0.112 O
0.269 0.487 0.303 O
0.269 0.513 0.803 O
0.409 0.013 0.401 O
0.409 0.987 0.901 O
0.411 0.271 0.095 O
0.411 0.729 0.595 O
0.430 0.404 0.566 O
0.430 0.596 0.066 O
0.570 0.424 0.911 O
0.570 0.576 0.411 O
0.589 0.250 0.377 O
0.589 0.750 0.877 O
0.608 0.076 0.909 O
0.608 0.924 0.409 O
0.749 0.096 0.566 O
0.749 0.904 0.066 O
0.767 0.229 0.095 O
0.767 0.771 0.595 O
0.769 0.487 0.401 O
0.769 0.513 0.901 O
0.909 0.013 0.303 O
0.909 0.987 0.803 O
0.911 0.270 0.609 O
0.911 0.730 0.109 O
0.930 0.404 0.139 O
0.930 0.596 0.639 O
```

=====

Record 3
The following is a DFT calculation (PBE+U) of a relaxed structure of SrCa7TiMn7O22.

Computed properties:
The value obtained for the excess energy over the best structure of this formula in the dataset is 0 kJ/mol of formula units. As for the total magnetic moment: 25.00 μB/f.u. Its symmetry is No. 1.

```
SrCa7TiMn7O22
1.0
10.881 0.000 0.000
-0.164 10.915 0.000
-0.053 -0.019 15.626
Sr Ca Ti Mn O
4 28 4 28 88
direct
0.000 0.000 0.000 Sr
0.005 0.012 0.269 Sr
0.253 0.768 0.992 Sr
0.748 0.270 0.268 Sr
0.000 0.503 0.741 Ca
0.000 0.509 0.274 Ca
0.003 0.536 0.507 Ca
0.009 0.040 0.508 Ca
0.009 0.998 0.741 Ca
0.230 0.308 0.008 Ca
0.246 0.265 0.736 Ca
0.249 0.291 0.506 Ca
0.249 0.786 0.508 Ca
0.250 0.264 0.275 Ca
0.252 0.733 0.272 Ca
0.265 0.738 0.750 Ca
0.477 0.992 0.989 Ca
0.496 0.004 0.281 Ca
0.497 0.995 0.748 Ca
0.499 0.508 0.741 Ca
0.500 0.504 0.270 Ca
0.505 0.538 0.505 Ca
0.505 0.551 0.002 Ca
0.506 0.040 0.510 Ca
0.733 0.318 0.004 Ca
0.744 0.785 0.507 Ca
0.748 0.291 0.504 Ca
0.748 0.735 0.269 Ca
0.753 0.264 0.737 Ca
0.754 0.737 0.746 Ca
0.758 0.758 0.995 Ca
0.995 0.542 0.995 Ca
0.010 0.757 0.864 Ti
0.023 0.750 0.136 Ti
0.684 0.032 0.113 Ti
0.762 0.000 0.869 Ti
0.000 0.269 0.387 Mn
0.001 0.769 0.625 Mn
0.003 0.268 0.627 Mn
0.007 0.297 0.138 Mn
0.221 0.039 0.126 Mn
0.248 0.508 0.878 Mn
0.251 0.517 0.386 Mn
0.252 0.520 0.627 Mn
0.254 0.019 0.386 Mn
0.255 0.021 0.630 Mn
0.256 0.515 0.133 Mn
0.260 0.014 0.873 Mn
0.485 0.277 0.864 Mn
0.498 0.285 0.134 Mn
0.499 0.769 0.385 Mn
0.500 0.267 0.386 Mn
0.503 0.772 0.629 Mn
0.504 0.269 0.627 Mn
0.506 0.762 0.873 Mn
0.507 0.761 0.139 Mn
0.741 0.516 0.875 Mn
0.750 0.519 0.627 Mn
0.751 0.520 0.385 Mn
0.752 0.527 0.131 Mn
0.754 0.018 0.391 Mn
0.755 0.019 0.630 Mn
0.982 0.276 0.870 Mn
0.999 0.771 0.385 Mn
0.027 0.269 0.260 O
0.033 0.275 0.751 O
0.033 0.772 0.261 O
0.042 0.769 0.749 O
0.080 0.915 0.130 O
0.097 0.399 0.909 O
0.099 0.431 0.099 O
0.103 0.175 0.089 O
0.104 0.918 0.614 O
0.105 0.914 0.401 O
0.108 0.411 0.609 O
0.109 0.412 0.403 O
0.114 0.908 0.884 O
0.138 0.649 0.890 O
0.142 0.663 0.610 O
0.142 0.664 0.400 O
0.145 0.161 0.399 O
0.149 0.164 0.609 O
0.167 0.672 0.124 O
0.215 0.514 0.260 O
0.215 0.514 0.753 O
0.217 0.050 0.759 O
0.247 0.046 0.248 O
0.270 0.018 0.003 O
0.290 0.003 0.510 O
0.290 0.513 0.507 O
0.290 0.518 0.004 O
0.329 0.353 0.871 O
0.331 0.352 0.139 O
0.355 0.875 0.361 O
0.356 0.878 0.654 O
0.361 0.378 0.369 O
0.366 0.378 0.646 O
0.372 0.869 0.863 O
0.392 0.627 0.363 O
0.393 0.631 0.650 O
0.394 0.616 0.858 O
0.395 0.123 0.376 O
0.399 0.126 0.652 O
0.401 0.617 0.158 O
0.416 0.118 0.872 O
0.463 0.259 0.508 O
0.463 0.760 0.506 O
0.476 0.768 0.016 O
0.516 0.258 0.259 O
0.535 0.783 0.260 O
0.540 0.943 0.132 O
0.543 0.777 0.750 O
0.544 0.283 0.751 O
0.591 0.403 0.908 O
0.604 0.167 0.063 O
0.604 0.916 0.400 O
0.605 0.918 0.613 O
0.606 0.429 0.107 O
0.609 0.410 0.398 O
0.609 0.413 0.606 O
0.619 0.917 0.900 O
0.642 0.664 0.399 O
0.643 0.159 0.398 O
0.643 0.660 0.894 O
0.643 0.664 0.610 O
0.651 0.166 0.609 O
0.671 0.683 0.122 O
0.713 0.518 0.751 O
0.714 0.045 0.763 O
0.718 0.517 0.257 O
0.759 0.052 0.215 O
0.782 0.528 0.004 O
0.782 0.972 0.031 O
0.787 0.516 0.505 O
0.794 0.003 0.514 O
0.830 0.369 0.869 O
0.847 0.360 0.131 O
0.854 0.877 0.359 O
0.856 0.879 0.657 O
0.863 0.380 0.644 O
0.865 0.873 0.855 O
0.866 0.386 0.370 O
0.880 0.127 0.896 O
0.889 0.130 0.371 O
0.891 0.631 0.364 O
0.892 0.624 0.858 O
0.892 0.628 0.649 O
0.895 0.126 0.655 O
0.904 0.623 0.154 O
0.958 0.761 0.506 O
0.962 0.257 0.507 O
0.977 0.761 0.011 O
```

=====

Record 4
The following is a DFT calculation (PBE+U) of a relaxed structure of SrCaFe4O12.

Computed properties:
As for the total magnetic moment: 19.42 μB/f.u. Its symmetry is No. 123. The calculation puts the total energy at -5.900 eV per atom.

```
SrCaFe4O12
1.0
5.409 0.000 0.000
0.000 5.409 0.000
0.000 0.000 7.690
Sr Ca Fe O
1 1 4 12
direct
0.000 0.000 0.000 Sr
0.500 0.500 0.500 Ca
0.000 0.500 0.251 Fe
0.000 0.500 0.749 Fe
0.500 0.000 0.251 Fe
0.500 0.000 0.749 Fe
0.000 0.500 0.000 O
0.000 0.500 0.500 O
0.253 0.253 0.253 O
0.253 0.253 0.747 O
0.253 0.747 0.253 O
0.253 0.747 0.747 O
0.500 0.000 0.000 O
0.500 0.000 0.500 O
0.747 0.253 0.253 O
0.747 0.253 0.747 O
0.747 0.747 0.253 O
0.747 0.747 0.747 O
```

=====

Record 5
The following is a DFT calculation (PBE+U) of a relaxed structure of LiCoPO4.

Computed properties:
The value obtained for the excess energy over the best structure of this formula in the dataset is 18 kJ/mol of formula units. As for the total magnetic moment: 0.00 μB/f.u. Its symmetry is No. 4.

```
LiCoPO4
1.0
4.980 0.000 0.000
0.000 9.590 0.000
-0.004 0.000 7.292
Li Co P O
4 4 4 16
direct
0.099 0.000 0.235 Li
0.399 0.283 0.733 Li
0.601 0.783 0.267 Li
0.901 0.500 0.765 Li
0.206 0.871 0.585 Co
0.296 0.420 0.084 Co
0.704 0.920 0.916 Co
0.794 0.371 0.415 Co
0.134 0.744 0.994 P
0.368 0.545 0.496 P
0.632 0.045 0.504 P
0.866 0.244 0.006 P
0.012 0.806 0.810 O
0.039 0.309 0.852 O
0.071 0.503 0.517 O
0.104 0.584 0.979 O
0.401 0.705 0.489 O
0.431 0.786 0.017 O
0.458 0.976 0.354 O
0.489 0.488 0.308 O
0.511 0.988 0.692 O
0.542 0.476 0.646 O
0.569 0.286 0.983 O
0.599 0.205 0.511 O
0.896 0.084 0.021 O
0.929 0.003 0.483 O
0.961 0.809 0.148 O
0.988 0.306 0.190 O
```

=====

Record 6
The following is a DFT calculation (PBE+U) of a relaxed structure of LiMn3Al2H6O12.

Computed properties:
The value obtained for the excess energy over the best structure of this formula in the dataset is 0 kJ/mol of formula units. As for the total magnetic moment: 10.00 μB/f.u. Its symmetry is No. 12.

```
LiMn3Al2H6O12
1.0
2.592 -4.414 0.000
2.592 4.414 0.000
-1.810 0.000 9.530
Li Mn Al H O
1 3 2 6 12
direct
0.000 0.000 0.000 Li
0.165 0.835 0.500 Mn
0.500 0.500 0.500 Mn
0.835 0.165 0.500 Mn
0.333 0.667 0.000 Al
0.667 0.333 0.000 Al
0.070 0.419 0.207 H
0.275 0.275 0.793 H
0.419 0.070 0.207 H
0.581 0.930 0.793 H
0.725 0.725 0.207 H
0.930 0.581 0.793 H
0.036 0.399 0.104 O
0.126 0.462 0.399 O
0.174 0.174 0.609 O
0.330 0.330 0.896 O
0.399 0.036 0.104 O
0.462 0.126 0.399 O
0.538 0.874 0.601 O
0.601 0.964 0.896 O
0.670 0.670 0.104 O
0.826 0.826 0.391 O
0.874 0.538 0.601 O
0.964 0.601 0.896 O
```

=====

Record 7
The following is a DFT calculation (PBE+U) of a relaxed structure of Be2Tl2NiO6F8.

Computed properties:
As for the total magnetic moment: 4.00 μB/f.u. Its symmetry is No. 14. The calculation puts the total energy at -4.645 eV per atom.

```
Be2Tl2NiO6F8
1.0
5.473 0.000 0.000
0.000 13.881 0.000
-4.365 0.000 8.242
Be Tl Ni O F
4 4 2 12 16
direct
0.239 0.132 0.056 Be
0.239 0.368 0.556 Be
0.761 0.632 0.444 Be
0.761 0.868 0.944 Be
0.463 0.616 0.730 Tl
0.463 0.884 0.230 Tl
0.537 0.116 0.770 Tl
0.537 0.384 0.270 Tl
0.000 0.000 0.500 Ni
0.000 0.500 0.000 Ni
0.161 0.617 0.934 O
0.161 0.883 0.434 O
0.294 0.673 0.048 O
0.294 0.827 0.548 O
0.302 0.067 0.541 O
0.302 0.433 0.041 O
0.698 0.567 0.959 O
0.698 0.933 0.459 O
0.706 0.173 0.452 O
0.706 0.327 0.952 O
0.839 0.117 0.566 O
0.839 0.383 0.066 O
0.101 0.652 0.516 F
0.101 0.848 0.016 F
0.274 0.109 0.901 F
0.274 0.391 0.401 F
0.307 0.043 0.167 F
0.307 0.457 0.667 F
0.390 0.225 0.144 F
0.390 0.275 0.644 F
0.610 0.725 0.356 F
0.610 0.775 0.856 F
0.693 0.543 0.333 F
0.693 0.957 0.833 F
0.726 0.609 0.599 F
0.726 0.891 0.099 F
0.899 0.152 0.984 F
0.899 0.348 0.484 F
```

=====

Record 8
The following is a DFT calculation (PBE+U) of a relaxed structure of NaLi2FePCO7.

Computed properties:
The value obtained for the excess energy over the best structure of this formula in the dataset is 18 kJ/mol of formula units. As for the total magnetic moment: 4.00 μB/f.u. Its symmetry is No. 1.

```
NaLi2FePCO7
1.0
6.591 0.000 0.000
-0.106 8.628 0.000
-0.003 -0.428 10.131
Na Li Fe P C O
4 8 4 4 4 28
direct
0.000 0.000 0.000 Na
0.000 0.002 0.502 Na
0.256 0.828 0.248 Na
0.503 0.488 0.254 Na
0.264 0.823 0.752 Li
0.481 0.018 0.005 Li
0.481 0.019 0.508 Li
0.512 0.477 0.748 Li
0.744 0.657 0.999 Li
0.750 0.654 0.506 Li
0.982 0.471 0.248 Li
0.984 0.476 0.746 Li
0.246 0.396 0.015 Fe
0.251 0.400 0.523 Fe
0.744 0.095 0.234 Fe
0.747 0.089 0.736 Fe
0.247 0.162 0.274 P
0.255 0.154 0.775 P
0.745 0.336 0.977 P
0.751 0.336 0.484 P
0.258 0.693 0.980 C
0.259 0.700 0.495 C
0.747 0.783 0.764 C
0.756 0.790 0.266 C
0.056 0.058 0.240 O
0.060 0.058 0.738 O
0.229 0.324 0.217 O
0.243 0.599 0.876 O
0.244 0.602 0.393 O
0.253 0.647 0.613 O
0.255 0.318 0.719 O
0.255 0.636 0.096 O
0.272 0.178 0.427 O
0.274 0.172 0.928 O
0.277 0.841 0.965 O
0.277 0.847 0.478 O
0.431 0.070 0.214 O
0.433 0.053 0.719 O
0.561 0.440 0.017 O
0.567 0.442 0.522 O
0.730 0.173 0.540 O
0.732 0.173 0.035 O
0.733 0.895 0.361 O
0.740 0.885 0.863 O
0.748 0.636 0.788 O
0.751 0.831 0.144 O
0.753 0.830 0.644 O
0.755 0.318 0.823 O
0.769 0.319 0.330 O
0.783 0.647 0.296 O
0.933 0.431 0.030 O
0.937 0.429 0.541 O
```